--- w ---
Below is a geometry-optimized LiNi2O4 structure, with properties calculated at the PBE+U level.

Cell lengths 5.7578, 5.7578, 5.7578 Å; angles 60.00, 60.00, 60.00 degrees
Atoms (fractional coordinates):
Li 0.1250 0.1250 0.1250
Li 0.8750 0.8750 0.8750
Ni 0.0000 0.5000 0.5000
Ni 0.5000 0.0000 0.5000
Ni 0.5000 0.5000 0.0000
Ni 0.5000 0.5000 0.5000
O 0.2633 0.2633 0.2633
O 0.2633 0.2633 0.7101
O 0.2633 0.7101 0.2633
O 0.2899 0.7367 0.7367
O 0.7101 0.2633 0.2633
O 0.7367 0.2899 0.7367
O 0.7367 0.7367 0.2899
O 0.7367 0.7367 0.7367

Calculated values
Magnetic moment (μB per atom): 0.143


--- x ---
Below is a geometry-optimized LiNi2O4 structure, with properties calculated at the PBE+U level.

Cell lengths 5.7364, 5.7364, 5.7364 Å; angles 60.09, 60.09, 60.09 degrees
Atoms (fractional coordinates):
Li 0.1282 0.1282 0.1282
Li 0.8718 0.8718 0.8718
Ni 0.0000 0.5000 0.5000
Ni 0.5000 0.0000 0.5000
Ni 0.5000 0.5000 0.0000
Ni 0.5000 0.5000 0.5000
O 0.2493 0.7115 0.2879
O 0.2657 0.2657 0.2657
O 0.2879 0.2493 0.7115
O 0.2885 0.7121 0.7507
O 0.7115 0.2879 0.2493
O 0.7121 0.7507 0.2885
O 0.7343 0.7343 0.7343
O 0.7507 0.2885 0.7121


The least stable of them is w.


--- w ---
Below is a geometry-optimized Li2Co2Si2O7 structure, with properties calculated at the PBE+U level.

Cell lengths 13.3990, 5.4300, 5.4300 Å; angles 126.03, 90.00, 90.00 degrees
Atoms (fractional coordinates):
Li 0.0000 0.0000 0.0000
Li 0.2500 0.9973 0.9898
Li 0.5000 0.0000 0.0000
Li 0.7500 0.9898 0.9973
Co 0.0812 0.3540 0.8003
Co 0.4188 0.3540 0.8003
Co 0.5812 0.8003 0.3540
Co 0.9188 0.8003 0.3540
Si 0.1377 0.6594 0.4557
Si 0.3623 0.6594 0.4557
Si 0.6377 0.4557 0.6594
Si 0.8623 0.4557 0.6594
O 0.0619 0.9105 0.4760
O 0.1236 0.3215 0.1358
O 0.1264 0.6659 0.7590
O 0.2500 0.8028 0.4797
O 0.3736 0.6659 0.7590
O 0.3764 0.3215 0.1358
O 0.4381 0.9105 0.4760
O 0.5619 0.4760 0.9105
O 0.6236 0.1358 0.3215
O 0.6264 0.7590 0.6659
O 0.7500 0.4797 0.8028
O 0.8736 0.7590 0.6659
O 0.8764 0.1358 0.3215
O 0.9381 0.4760 0.9105

Calculated values
Magnetic moment (μB per atom): 0.000


--- x ---
Below is a geometry-optimized Li2Co2Si2O7 structure, with properties calculated at the PBE+U level.

Cell lengths 5.4666, 13.1065, 9.9598 Å; angles 90.00, 122.83, 90.00 degrees
Atoms (fractional coordinates):
Li 0.0356 0.2454 0.3312
Li 0.0356 0.2546 0.8312
Li 0.2676 0.1338 0.6123
Li 0.2676 0.3662 0.1123
Li 0.7323 0.6338 0.8877
Li 0.7323 0.8662 0.3877
Li 0.9644 0.7454 0.1688
Li 0.9644 0.7546 0.6688
Co 0.1560 0.5079 0.7947
Co 0.1560 0.9921 0.2947
Co 0.4552 0.0848 0.1147
Co 0.4552 0.4152 0.6147
Co 0.5448 0.5848 0.3853
Co 0.5448 0.9152 0.8853
Co 0.8440 0.0079 0.7053
Co 0.8440 0.4921 0.2053
Si 0.2219 0.6148 0.5378
Si 0.2219 0.8852 0.0378
Si 0.3639 0.6697 0.0445
Si 0.3639 0.8303 0.5445
Si 0.6361 0.1697 0.4555
Si 0.6361 0.3303 0.9555
Si 0.7781 0.1148 0.9622
Si 0.7781 0.3852 0.4622
O 0.0764 0.6361 0.8705
O 0.0764 0.8639 0.3705
O 0.0851 0.1639 0.0076
O 0.0851 0.3361 0.5076
O 0.2097 0.5312 0.4099
O 0.2097 0.9688 0.9099
O 0.2965 0.6588 0.1838
O 0.2965 0.8412 0.6838
O 0.3373 0.1165 0.4270
O 0.3373 0.3835 0.9270
O 0.4017 0.5561 0.7121
O 0.4017 0.9439 0.2121
O 0.4343 0.7061 0.5380
O 0.4343 0.7939 0.0380
O 0.5657 0.2061 0.9620
O 0.5657 0.2939 0.4620
O 0.5983 0.0561 0.7879
O 0.5983 0.4439 0.2879
O 0.6627 0.6165 0.0730
O 0.6627 0.8835 0.5730
O 0.7035 0.1588 0.3162
O 0.7035 0.3412 0.8162
O 0.7903 0.0312 0.0901
O 0.7903 0.4688 0.5901
O 0.9149 0.6639 0.4924
O 0.9149 0.8361 0.9924
O 0.9236 0.1361 0.6295
O 0.9236 0.3639 0.1295

Calculated values
Magnetic moment (μB per atom): 0.000


The least stable of them is w.


--- w ---
Below is a geometry-optimized MgTiMn3O8 structure, with properties calculated at the PBE+U level.

Cell lengths 6.0598, 6.0598, 5.8660 Å; angles 117.79, 117.79, 57.13 degrees
Atoms (fractional coordinates):
Mg 0.0000 0.0000 0.0000
Ti 0.5000 0.5000 0.5000
Mn 0.0000 0.0000 0.5000
Mn 0.0000 0.5000 0.5000
Mn 0.5000 0.0000 0.5000
O 0.2133 0.2133 0.6804
O 0.2418 0.7551 0.7246
O 0.2449 0.7582 0.2754
O 0.2699 0.2699 0.2991
O 0.7301 0.7301 0.7009
O 0.7551 0.2418 0.7246
O 0.7582 0.2449 0.2754
O 0.7867 0.7867 0.3196

Calculated values
Magnetic moment (μB per atom): 0.846


--- x ---
Below is a geometry-optimized MgTiMn3O8 structure, with properties calculated at the PBE+U level.

Cell lengths 5.9342, 5.9342, 6.2843 Å; angles 118.69, 118.69, 59.91 degrees
Atoms (fractional coordinates):
Mg 0.0000 0.0000 0.0000
Ti 0.5000 0.5000 0.0000
Mn 0.0000 0.5000 0.0000
Mn 0.5000 0.0000 0.0000
Mn 0.5000 0.5000 0.5000
O 0.2406 0.7114 0.1971
O 0.2456 0.2456 0.1968
O 0.2660 0.2660 0.8090
O 0.2886 0.7594 0.8029
O 0.7114 0.2406 0.1971
O 0.7340 0.7340 0.1910
O 0.7544 0.7544 0.8032
O 0.7594 0.2886 0.8029

Calculated values
Magnetic moment (μB per atom): 0.846


The least stable of them is w.